The following is a DFT calculation (GGA+U) of a geometry-optimized Li3V2Fe2O8 structure.

abc: 5.703 5.708 5.817
angles: 59.45 59.57 89.09
Fractional positions:
1 O 0.777 0.769 0.480
2 O 0.246 0.753 0.010
3 O 0.754 0.247 0.990
4 O 0.232 0.223 0.027
5 O 0.223 0.231 0.520
6 O 0.757 0.242 0.513
7 O 0.243 0.758 0.487
8 O 0.768 0.777 0.973
9 Li 0.500 0.000 0.500
10 Li 0.000 0.500 0.000
11 Li 0.500 0.500 0.000
12 V 0.500 0.000 0.000
13 V 0.000 0.500 0.500
14 Fe 0.000 0.000 0.500
15 Fe 0.000 0.000 0.000

Calculated values
Formation energy from the elements: -2.0636 eV per atom
Total moment: 13.00 μB per cell